# 1
A relaxed Ca16MgAl14Si9O56 crystal, computed with PBE-GGA.

The spin magnetization comes out at 0.00 Bohr magnetons per cell.

```
Ca16MgAl14Si9O56
1.0
6.8954 0.0000 0.0000
-0.0615 7.0324 0.0000
-0.8676 -0.7791 26.9301
Ca Mg Al Si O
16 1 14 9 56
Direct
0.0000 0.0000 0.0000
0.0010 0.0662 0.2384
0.0181 0.0547 0.4865
0.0330 0.7014 0.8825
0.1908 0.4999 0.1921
0.1921 0.4777 0.4319
0.2242 0.0315 0.6574
0.2318 0.9900 0.3513
0.2465 0.9723 0.1166
0.2990 0.4605 0.7869
0.3382 0.1529 0.9099
0.4154 0.5687 0.0558
0.4199 0.5561 0.3110
0.4566 0.6710 0.5581
0.9167 0.4681 0.6345
0.9428 0.9185 0.7590
0.6702 0.2849 0.7104
0.2285 0.3027 0.5760
0.5033 0.7660 0.4317
0.5217 0.6692 0.9322
0.5239 0.7484 0.1836
0.6346 0.8348 0.8471
0.6867 0.3887 0.4489
0.6937 0.3799 0.2080
0.7298 0.8806 0.3409
0.7466 0.8738 0.1014
0.7706 0.3125 0.9488
0.8175 0.9922 0.5911
0.9080 0.2510 0.3652
0.9301 0.2575 0.1185
0.9584 0.1849 0.8594
0.4364 0.0016 0.7563
0.4601 0.0660 0.2579
0.4998 0.0889 0.5110
0.5031 0.9996 0.0123
0.6340 0.7616 0.6726
0.8062 0.4777 0.8077
0.9078 0.5941 0.5303
0.9598 0.5691 0.0407
0.9667 0.5677 0.2919
0.0329 0.1251 0.5769
0.0454 0.4347 0.3374
0.0518 0.4073 0.0777
0.0848 0.1828 0.4110
0.1072 0.2071 0.1660
0.1223 0.5371 0.5555
0.1285 0.7318 0.0367
0.1385 0.7148 0.2771
0.1890 0.2592 0.8423
0.2463 0.8788 0.7370
0.2893 0.2077 0.2762
0.3051 0.1106 0.9987
0.3169 0.2372 0.5141
0.3219 0.7164 0.3850
0.3474 0.7838 0.8934
0.3581 0.6780 0.1347
0.3792 0.9317 0.2107
0.3979 0.9031 0.4807
0.4066 0.2162 0.7337
0.4370 0.7855 0.6395
0.4911 0.0002 0.8149
0.5012 0.7741 0.9929
0.5018 0.5470 0.4635
0.5111 0.9356 0.3070
0.5127 0.5465 0.2225
0.5315 0.9803 0.0737
0.5347 0.4148 0.9358
0.5752 0.0115 0.5646
0.6105 0.6158 0.8076
0.6288 0.9181 0.7227
0.6591 0.1706 0.2414
0.6833 0.1726 0.4811
0.6852 0.1181 0.9892
0.6847 0.3363 0.3847
0.6874 0.5547 0.6932
0.7076 0.8552 0.4042
0.7205 0.3445 0.1449
0.7275 0.7706 0.9065
0.7370 0.4983 0.5615
0.7485 0.8374 0.1658
0.7586 0.1779 0.6436
0.7631 0.6623 0.3086
0.7645 0.6571 0.0668
0.8020 0.2802 0.7764
0.8324 0.8119 0.6392
0.8325 0.4067 0.8666
0.8743 0.9573 0.8375
0.8871 0.8247 0.5324
0.9025 0.4826 0.9856
0.9067 0.5085 0.4718
0.9117 0.0446 0.3250
0.9197 0.4387 0.2402
0.9308 0.0343 0.0856
0.9344 0.1896 0.6804
0.9668 0.1588 0.9260
0.9981 0.6101 0.7965
```

# 2
A relaxed Ca2MgAl2Si3O12 crystal, computed with PBE-GGA.

The spin magnetization comes out at 0.00 Bohr magnetons per cell. The polymorph energy (0 for the lowest one) comes out at 0 meV/atom.

```
Ca2MgAl2Si3O12
1.0
6.5939 0.0000 0.0000
0.6857 6.5803 0.0000
2.2888 1.9232 10.2218
Ca Mg Al Si O
4 2 4 6 24
Direct
0.1906 0.3093 0.3768
0.1969 0.3003 0.8714
0.8031 0.6997 0.1286
0.8094 0.6907 0.6232
0.4045 0.0941 0.1255
0.5955 0.9059 0.8745
0.3132 0.6125 0.6091
0.4095 0.0878 0.6213
0.5905 0.9122 0.3787
0.6868 0.3875 0.3909
0.1152 0.8105 0.3629
0.1205 0.8034 0.8614
0.3079 0.6237 0.1136
0.6921 0.3763 0.8864
0.8795 0.1966 0.1386
0.8848 0.1895 0.6371
0.1109 0.1057 0.0866
0.1238 0.1007 0.5935
0.1238 0.6808 0.2418
0.1249 0.6561 0.7532
0.1579 0.6304 0.4886
0.1737 0.6329 0.9956
0.2996 0.9731 0.3235
0.3047 0.9688 0.8065
0.3876 0.3891 0.1649
0.3914 0.3533 0.6554
0.4768 0.7983 0.0694
0.4795 0.8204 0.5634
0.5205 0.1796 0.4366
0.5232 0.2017 0.9306
0.6086 0.6467 0.3446
0.6124 0.6109 0.8351
0.6953 0.0312 0.1935
0.7004 0.0269 0.6765
0.8263 0.3671 0.0044
0.8421 0.3696 0.5114
0.8751 0.3439 0.2468
0.8762 0.3192 0.7582
0.8762 0.8993 0.4065
0.8891 0.8943 0.9134
```

# 3
A relaxed Ca2MgAl2Si3O12 crystal, computed with PBE-GGA.

The spin magnetization comes out at 0.00 Bohr magnetons per cell. The polymorph energy (0 for the lowest one) comes out at 9 meV/atom.

```
Ca2MgAl2Si3O12
1.0
5.3519 0.0000 0.0000
1.4322 6.4332 0.0000
1.3582 0.3745 6.4492
Ca Mg Al Si O
2 1 2 3 12
Direct
0.0000 0.0000 0.0000
0.4979 0.3920 0.6090
0.9890 0.6086 0.4027
0.4905 0.7926 0.2230
0.5230 0.8876 0.6965
0.0239 0.0825 0.5080
0.4700 0.3171 0.1183
0.9644 0.5068 0.9333
0.0548 0.5911 0.6999
0.1271 0.8998 0.3376
0.2334 0.3346 0.9830
0.2444 0.0824 0.6504
0.3879 0.5018 0.2801
0.4217 0.8059 0.9554
0.5591 0.0770 0.1994
0.5950 0.7253 0.4877
0.7365 0.3635 0.9454
0.7668 0.0355 0.6814
0.8627 0.6785 0.1103
0.9270 0.3123 0.4073
```

# 4
A relaxed CaMn3Al9 crystal, computed with PBE-GGA.

The spin magnetization comes out at 5.03 Bohr magnetons per cell.

```
CaMn3Al9
1.0
2.5844 -6.3670 0.0000
2.5844 6.3670 0.0000
-2.4887 0.0000 6.2605
Ca Mn Al
1 3 9
Direct
0.0000 0.0000 0.0000
0.0000 0.5000 0.0000
0.5000 0.0000 0.0000
0.5000 0.5000 0.5000
0.0000 0.0000 0.5000
0.9996 0.3487 0.3346
0.0004 0.6513 0.6654
0.2852 0.5178 0.7792
0.3487 0.9996 0.3346
0.4822 0.7148 0.2208
0.5178 0.2852 0.7792
0.6513 0.0004 0.6654
0.7148 0.4822 0.2208
```

# 5
A relaxed Ca6MnAl11 crystal, computed with PBE-GGA.

The spin magnetization comes out at 10.10 Bohr magnetons per cell.

```
Ca6MnAl11
1.0
5.7104 0.0000 0.0000
-2.8552 4.9453 0.0000
0.0000 0.0000 54.1550
Ca Mn Al
24 4 44
Direct
0.0000 0.0000 0.0000
0.0000 0.0000 0.0616
0.0000 0.0000 0.1656
0.0000 0.0000 0.2283
0.0000 0.0000 0.3324
0.0000 0.0000 0.3949
0.0000 0.0000 0.4991
0.0000 0.0000 0.5611
0.0000 0.0000 0.6667
0.0000 0.0000 0.7283
0.0000 0.0000 0.8324
0.0000 0.0000 0.8944
0.3333 0.6667 0.0822
0.3333 0.6667 0.1451
0.3333 0.6667 0.4157
0.3333 0.6667 0.4784
0.3333 0.6667 0.7488
0.3333 0.6667 0.8117
0.6667 0.3333 0.2488
0.6667 0.3333 0.3116
0.6667 0.3333 0.5826
0.6667 0.3333 0.6449
0.6667 0.3333 0.9159
0.6667 0.3333 0.9782
0.3333 0.6667 0.2383
0.6667 0.3333 0.1556
0.6667 0.3333 0.4882
0.6667 0.3333 0.8215
0.0002 0.5001 0.1970
0.0001 0.5001 0.3636
0.1625 0.3249 0.6136
0.1624 0.3249 0.9469
0.1625 0.8375 0.6136
0.1624 0.8376 0.9469
0.1674 0.3348 0.2790
0.1674 0.8326 0.2790
0.3333 0.6667 0.3206
0.3333 0.6667 0.5717
0.3333 0.6667 0.6540
0.3333 0.6667 0.9050
0.3333 0.6667 0.9874
0.3344 0.1672 0.1148
0.3345 0.1672 0.4481
0.3345 0.1673 0.7814
0.4999 0.9998 0.1970
0.4999 0.9999 0.3636
0.4999 0.5001 0.1970
0.4999 0.5001 0.3636
0.5006 0.0012 0.0302
0.5006 0.0011 0.6968
0.5006 0.4994 0.0302
0.5006 0.4994 0.6968
0.5029 0.0058 0.5291
0.5031 0.0061 0.8625
0.5029 0.4971 0.5291
0.5031 0.4969 0.8625
0.6652 0.8326 0.2790
0.6667 0.3333 0.0732
0.6667 0.3333 0.4066
0.6667 0.3333 0.7398
0.6751 0.8375 0.6136
0.6751 0.8376 0.9469
0.8328 0.1672 0.1148
0.8328 0.1672 0.4481
0.8327 0.1673 0.7814
0.8327 0.6655 0.7814
0.8328 0.6656 0.1148
0.8328 0.6655 0.4481
0.9942 0.4971 0.5291
0.9939 0.4969 0.8625
0.9988 0.4994 0.0302
0.9989 0.4994 0.6968
```

# 6
A relaxed Ca3Al2N4 crystal, computed with PBE-GGA.

The polymorph energy (0 for the lowest one) comes out at 12 meV/atom.

```
Ca3Al2N4
1.0
5.3154 -4.1448 0.0000
5.3154 4.1448 0.0000
-0.1967 0.0000 5.5336
Ca Al N
6 4 8
Direct
0.1007 0.8993 0.7500
0.2464 0.5216 0.4552
0.4784 0.7536 0.0448
0.5216 0.2464 0.9552
0.7536 0.4784 0.5448
0.8993 0.1007 0.2500
0.0855 0.3233 0.9122
0.3233 0.0855 0.4122
0.6767 0.9145 0.5878
0.9145 0.6767 0.0878
0.0889 0.2363 0.5818
0.1974 0.5584 0.9792
0.2363 0.0889 0.0818
0.4416 0.8026 0.5208
0.5584 0.1974 0.4792
0.7637 0.9111 0.9182
0.8026 0.4416 0.0208
0.9111 0.7637 0.4182
```

# 7
A relaxed Ca3AlN3 crystal, computed with PBE-GGA.

```
Ca3AlN3
1.0
6.9025 0.0000 0.0000
0.0000 6.1389 0.0000
-0.6513 0.0000 9.8337
Ca Al N
12 4 12
Direct
0.0771 0.1412 0.1505
0.0771 0.3588 0.6505
0.3541 0.7180 0.8058
0.3541 0.7820 0.3058
0.3715 0.2063 0.9236
0.3715 0.2937 0.4236
0.6285 0.7063 0.5764
0.6285 0.7937 0.0764
0.6459 0.2180 0.6942
0.6459 0.2820 0.1942
0.9229 0.6412 0.3495
0.9229 0.8588 0.8495
0.1602 0.5911 0.0603
0.1602 0.9089 0.5603
0.8398 0.0911 0.4397
0.8398 0.4089 0.9397
0.1039 0.0378 0.3823
0.1039 0.4622 0.8823
0.2593 0.6234 0.5289
0.2593 0.8766 0.0289
0.3390 0.0683 0.6770
0.3390 0.4317 0.1770
0.6610 0.5683 0.8230
0.6610 0.9317 0.3230
0.7407 0.1234 0.9711
0.7407 0.3766 0.4711
0.8961 0.5378 0.1177
0.8961 0.9622 0.6177
```

# 8
A relaxed Ca3Al2N4 crystal, computed with PBE-GGA.

The calculation puts the largest piezoelectric modulus at 0.0 C/m². The polymorph energy (0 for the lowest one) comes out at 0 meV/atom.

```
Ca3Al2N4
1.0
5.8563 0.0000 0.0000
0.0000 10.7519 0.0000
0.0000 0.0000 15.9167
Ca Al N
24 16 32
Direct
0.0015 0.0098 0.4267
0.0326 0.5095 0.6797
0.0361 0.9722 0.2038
0.2067 0.7586 0.5618
0.2225 0.7332 0.9411
0.2389 0.7363 0.3334
0.2611 0.2637 0.8334
0.2775 0.2668 0.4411
0.2933 0.2414 0.0618
0.4639 0.0278 0.7038
0.4674 0.4905 0.1797
0.4985 0.9902 0.9267
0.5015 0.4902 0.5733
0.5326 0.9905 0.3203
0.5361 0.5278 0.7962
0.7067 0.7414 0.4382
0.7225 0.7668 0.0589
0.7389 0.7637 0.6666
0.7611 0.2363 0.1666
0.7775 0.2332 0.5589
0.7933 0.2586 0.9382
0.9639 0.4722 0.2962
0.9674 0.0095 0.8203
0.9985 0.5098 0.0733
0.0074 0.0184 0.6310
0.0135 0.9912 0.0070
0.2372 0.2438 0.6285
0.2446 0.7505 0.7486
0.2554 0.2495 0.2486
0.2628 0.7562 0.1285
0.4865 0.0088 0.5070
0.4926 0.9816 0.1310
0.5074 0.4816 0.3690
0.5135 0.5088 0.9930
0.7372 0.2562 0.3715
0.7446 0.7495 0.2514
0.7554 0.2505 0.7514
0.7628 0.7438 0.8715
0.9865 0.4912 0.4930
0.9926 0.5184 0.8690
0.0197 0.1666 0.7037
0.0231 0.2076 0.3281
0.1188 0.3649 0.1721
0.1199 0.3729 0.5657
0.1289 0.8875 0.6909
0.1296 0.1267 0.9423
0.2185 0.5264 0.4111
0.2259 0.0956 0.5554
0.2741 0.9044 0.0554
0.2815 0.4736 0.9111
0.3704 0.8733 0.4423
0.3711 0.1125 0.1909
0.3801 0.6271 0.0657
0.3812 0.6351 0.6721
0.4769 0.7924 0.8281
0.4803 0.8334 0.2037
0.5197 0.3334 0.2963
0.5231 0.2924 0.6719
0.6188 0.1351 0.8279
0.6199 0.1271 0.4343
0.6289 0.6125 0.3091
0.6296 0.3733 0.0577
0.7185 0.9736 0.5889
0.7259 0.4044 0.4446
0.7741 0.5956 0.9446
0.7815 0.0264 0.0889
0.8704 0.6267 0.5577
0.8711 0.3875 0.8091
0.8801 0.8729 0.9343
0.8812 0.8649 0.3279
0.9769 0.7076 0.1719
0.9803 0.6666 0.7963
```

E_form
In order: -3.112 -3.391 -3.381 -0.255 -0.293 -1.280 -1.165 -1.292
Unit: eV/atom
E
In order: -7.133 -7.416 -7.407 -5.116 -3.760 -6.326 -5.978 -6.338
Unit: eV per atom